Computed, not measured: a relaxed structure of Nd3Y3Fe10O24 at the PBE with a Hubbard U level of DFT.

a b c (Å): 12.6716 12.6716 12.6716
angles (deg): 90.00 90.00 90.00
Space group I4_132 (No. 214)
Inequivalent atoms, fractional coordinates:
Nd  0.0000  0.2500  0.6250 x12
Y  0.0000  0.2500  0.1250 x12
Fe  0.0000  0.2500  0.3728 x24
Fe  0.0015  0.0015  0.0015 x16
O  0.0252  0.4430  0.1518 x48
O  0.0300  0.0535  0.6489 x48

Energy of formation   -2512 meV per atom
Density   5.4 g/cm³